Below is a relaxed structure of Li3V2O4F2, with properties calculated at the GGA+U level.

Calculated values
Raw total energy: -6.338 eV per atom
Energy relative to the elements: -2661 meV per atom
Offset from the most stable computed form: 41.5 kJ/mol of formula units
Size of the total moment: 12.000 μB per cell
V: 10.5 Å³ per atom
Mass density: 3.2 g/cm³

Cell and atoms, written as extended XYZ:
```
44
Lattice="-1.0794 4.3855 3.8778 -4.4781 -0.5968 3.9132 7.3214 -6.5598 11.5536" Properties=species:S:1:pos:R:3 pbc="T T T"
V -3.0178 2.1059 8.0978
V 2.5164 -3.4109 6.7417
V 2.0015 -1.2470 8.7567
V -0.3090 -1.4716 10.5626
V -0.7950 2.3989 6.1238
V -0.2790 0.2198 4.1758
V -2.4756 -0.0891 6.1997
V -0.7358 0.6027 12.6851
O -2.6953 1.8976 6.1507
O 0.1050 -1.7741 4.2308
O 1.7055 -1.0397 10.5554
O -0.5755 0.5404 10.6856
O -2.8487 0.0292 8.2255
O 0.0266 -1.7793 8.5869
O -3.2492 2.2511 10.1429
O 0.0144 -3.4826 10.6072
O 2.1420 -1.3804 6.6970
O -0.5776 -1.3487 12.5504
O 1.7729 0.7829 8.5899
O -0.5465 2.2119 4.2574
O 0.0287 -0.0268 2.2563
O 2.2680 -3.2219 8.7535
O -0.4507 0.4096 6.1919
O -2.0906 -0.2477 4.2103
F 2.5118 -4.9457 15.2088
F 1.5927 -0.9243 15.0223
F 1.9119 -2.8843 17.0926
F 4.4349 -2.7901 11.1564
F 4.0106 -2.6831 15.1617
F 2.0820 -3.0478 13.0315
F 4.7219 -4.7912 13.4605
F 4.9521 -4.9800 9.1499
Li 2.2178 -1.5336 4.4896
Li 6.3860 -4.2016 12.9825
Li 4.2825 -4.4907 15.2162
Li 0.0395 -1.7768 6.4890
Li 1.9009 -2.9090 15.1102
Li 2.4055 -5.3385 13.3141
Li 4.3889 -2.4985 13.2639
Li 0.2996 -3.7426 13.2827
Li 2.7725 -3.5066 11.3380
Li 1.6744 0.7227 6.4748
Li 2.1439 -1.1473 13.2852
Li 4.7616 -6.5548 12.9767
```